Entry 1:
Here is crystalline SrMg14TiO16 at its relaxed geometry from the Materials Project database. Energies are from GGA-PBE.

a b c (Å): 8.661 8.728 4.404
angles (deg): 90.00 90.00 90.00
Element x y z (fractional)
Mg1 0.257 0.754 0.000
Mg2 0.743 0.246 0.000
Mg3 0.500 0.249 0.500
Mg4 0.743 0.754 0.000
Mg5 0.000 0.757 0.500
Mg6 0.253 0.000 0.500
Mg7 0.260 0.500 0.500
Mg8 0.257 0.246 0.000
Mg9 0.500 0.751 0.500
Mg10 0.500 0.500 0.000
Mg11 0.747 0.000 0.500
Mg12 0.500 0.000 0.000
Mg13 0.740 0.500 0.500
Mg14 0.000 0.243 0.500
O1 0.500 0.000 0.500
O2 0.728 0.500 0.000
O3 0.272 0.500 0.000
O4 0.000 0.500 0.500
O5 0.000 0.766 0.000
O6 0.250 0.249 0.500
O7 0.000 0.000 0.500
O8 0.256 0.000 0.000
O9 0.500 0.245 0.000
O10 0.744 0.000 0.000
O11 0.500 0.500 0.500
O12 0.500 0.755 0.000
O13 0.750 0.751 0.500
O14 0.000 0.234 0.000
O15 0.250 0.751 0.500
O16 0.750 0.249 0.500
Sr1 0.000 0.500 0.000
Ti1 0.000 0.000 0.000

Properties
The value obtained for the total magnetic moment is 1.83 μB/cell. For the calculated formation energy, the calculation gives -2904 meV per atom. The value obtained for the offset from the most stable computed form is 0.003 eV/atom.

Entry 2:
Here is crystalline NbNO at its relaxed geometry from the Materials Project database. Energies are from GGA-PBE.

a b c (Å): 6.908 6.908 6.848
angles (deg): 73.20 73.20 32.83
Element x y z (fractional)
N1 0.056 0.056 0.139
N2 0.260 0.260 0.852
N3 0.944 0.944 0.861
N4 0.740 0.740 0.148
O1 0.141 0.141 0.491
O2 0.366 0.366 0.210
O3 0.634 0.634 0.790
O4 0.859 0.859 0.509
Nb1 0.895 0.895 0.215
Nb2 0.811 0.811 0.810
Nb3 0.105 0.105 0.785
Nb4 0.189 0.189 0.190

Properties
The value obtained for the total magnetic moment is 0.00 μB/cell. For the calculated formation energy, the calculation gives -1819 meV per atom. The value obtained for the offset from the most stable computed form is 0.038 eV/atom.

Entry 3:
Here is crystalline TaCrNi at its relaxed geometry from the Materials Project database. Energies are from GGA-PBE.

a b c (Å): 4.912 4.912 7.878
angles (deg): 90.00 90.00 121.55
Element x y z (fractional)
Ni1 0.664 0.830 0.500
Ni2 0.170 0.336 0.500
Ni3 0.827 0.173 0.000
Ni4 0.169 0.831 0.500
Cr1 0.334 0.168 0.000
Cr2 0.002 0.998 0.751
Cr3 0.002 0.998 0.249
Cr4 0.832 0.666 0.000
Ta1 0.664 0.336 0.688
Ta2 0.664 0.336 0.312
Ta3 0.336 0.664 0.812
Ta4 0.336 0.664 0.188

Properties
The value obtained for the total magnetic moment is 0.11 μB/cell. For the calculated formation energy, the calculation gives -155 meV per atom.

Entry 4:
Here is crystalline MnGaNi at its relaxed geometry from the Materials Project database. Energies are from GGA-PBE.

a b c (Å): 4.129 4.129 5.166
angles (deg): 90.00 90.00 120.00
Element x y z (fractional)
Mn1 0.000 0.000 0.000
Mn2 0.000 0.000 0.500
Ni1 0.667 0.333 0.250
Ni2 0.333 0.667 0.750
Ga1 0.667 0.333 0.750
Ga2 0.333 0.667 0.250

Properties
The value obtained for the total magnetic moment is 6.47 μB/cell. For the calculated formation energy, the calculation gives -257 meV per atom.

Entry 5:
Here is crystalline GaNi3Sb at its relaxed geometry from the Materials Project database. Energies are from GGA-PBE.

a b c (Å): 4.129 4.129 4.964
angles (deg): 90.00 90.00 119.99
Element x y z (fractional)
Sb1 0.333 0.667 0.250
Ni1 0.667 0.333 0.250
Ni2 0.000 0.000 0.504
Ni3 0.000 0.000 0.996
Ga1 0.667 0.333 0.750

Properties
The value obtained for the total magnetic moment is 0.00 μB/cell. For the calculated formation energy, the calculation gives -190 meV per atom.

Entry 6:
Here is crystalline Cs2GeTe3O12 at its relaxed geometry from the Materials Project database. Energies are from GGA-PBE.

a b c (Å): 7.131 7.131 7.131
angles (deg): 61.58 61.58 61.58
Element x y z (fractional)
O1 0.932 0.325 0.325
O2 0.325 0.325 0.932
O3 0.931 0.931 0.317
O4 0.675 0.675 0.068
O5 0.069 0.069 0.683
O6 0.931 0.317 0.931
O7 0.675 0.068 0.675
O8 0.683 0.069 0.069
O9 0.325 0.932 0.325
O10 0.069 0.683 0.069
O11 0.317 0.931 0.931
O12 0.068 0.675 0.675
Cs1 0.373 0.373 0.373
Cs2 0.627 0.627 0.627
Te1 0.000 0.500 0.000
Te2 0.000 0.000 0.500
Te3 0.500 0.000 0.000
Ge1 0.000 0.000 0.000

Properties
For the calculated formation energy, the calculation gives -1730 meV per atom.

Entry 7:
Here is crystalline TmTaO4 at its relaxed geometry from the Materials Project database. Energies are from GGA-PBE.

a b c (Å): 7.918 7.918 5.399
angles (deg): 90.00 90.00 151.76
Element x y z (fractional)
O1 0.522 0.478 0.474
O2 0.101 0.899 0.749
O3 0.668 0.332 0.087
O4 0.332 0.668 0.587
O5 0.478 0.522 0.974
O6 0.702 0.298 0.587
O7 0.899 0.101 0.249
O8 0.298 0.702 0.087
Ta1 0.586 0.414 0.808
Ta2 0.414 0.586 0.308
Tm1 0.802 0.198 0.880
Tm2 0.198 0.802 0.380

Properties
The value obtained for the total magnetic moment is 0.00 μB/cell. For the calculated formation energy, the calculation gives -3666 meV per atom. The piezoelectric modulus e_max is 1.74 C/m².

Entry 8:
Here is crystalline Al4Ni15Sn at its relaxed geometry from the Materials Project database. Energies are from GGA-PBE.

a b c (Å): 3.617 3.617 17.891
angles (deg): 90.00 90.00 90.00
Element x y z (fractional)
Al1 0.000 0.000 0.600
Al2 0.000 0.000 0.796
Al3 0.000 0.000 0.400
Al4 0.000 0.000 0.204
Ni1 0.000 0.500 0.301
Ni2 0.500 0.500 0.600
Ni3 0.500 0.000 0.301
Ni4 0.500 0.500 0.400
Ni5 0.000 0.500 0.107
Ni6 0.500 0.500 0.000
Ni7 0.000 0.500 0.699
Ni8 0.500 0.500 0.203
Ni9 0.000 0.500 0.500
Ni10 0.500 0.500 0.797
Ni11 0.500 0.000 0.699
Ni12 0.500 0.000 0.500
Ni13 0.500 0.000 0.107
Ni14 0.500 0.000 0.893
Ni15 0.000 0.500 0.893
Sn1 0.000 0.000 0.000

Properties
The value obtained for the total magnetic moment is 2.90 μB/cell. For the calculated formation energy, the calculation gives -375 meV per atom.

Entry 9:
Here is crystalline Tm5Pb3 at its relaxed geometry from the Materials Project database. Energies are from GGA-PBE.

a b c (Å): 6.539 8.935 8.938
angles (deg): 119.99 90.00 90.00
Element x y z (fractional)
Tm1 0.750 0.239 0.000
Tm2 0.250 0.761 0.000
Tm3 0.500 0.333 0.667
Tm4 0.000 0.667 0.333
Tm5 0.750 0.761 0.761
Tm6 0.250 0.000 0.761
Tm7 0.250 0.239 0.239
Tm8 0.500 0.667 0.333
Tm9 0.750 0.000 0.239
Tm10 0.000 0.333 0.667
Pb1 0.750 0.000 0.606
Pb2 0.250 0.394 0.000
Pb3 0.750 0.394 0.394
Pb4 0.250 0.000 0.394
Pb5 0.750 0.606 0.000
Pb6 0.250 0.606 0.606

Properties
For the calculated formation energy, the calculation gives -496 meV per atom.

Entry 10:
Here is crystalline NaB4Ir3 at its relaxed geometry from the Materials Project database. Energies are from GGA-PBE.

a b c (Å): 7.599 7.599 8.316
angles (deg): 90.00 90.00 97.60
Element x y z (fractional)
B1 0.657 0.655 0.815
B2 0.845 0.843 0.815
B3 0.056 0.786 0.837
B4 0.786 0.054 0.837
B5 0.411 0.910 0.500
B6 0.946 0.214 0.163
B7 0.090 0.589 0.500
B8 0.345 0.343 0.185
B9 0.911 0.410 0.500
B10 0.556 0.286 0.163
B11 0.214 0.944 0.163
B12 0.590 0.089 0.500
B13 0.157 0.155 0.185
B14 0.714 0.444 0.837
B15 0.446 0.714 0.837
B16 0.286 0.554 0.163
Ir1 0.251 0.749 0.665
Ir2 0.392 0.108 0.312
Ir3 0.751 0.249 0.000
Ir4 0.110 0.390 0.313
Ir5 0.251 0.749 0.000
Ir6 0.001 0.999 0.000
Ir7 0.610 0.890 0.687
Ir8 0.251 0.749 0.335
Ir9 0.501 0.499 0.000
Ir10 0.751 0.249 0.665
Ir11 0.751 0.249 0.335
Ir12 0.892 0.608 0.688
Na1 0.502 0.498 0.500
Na2 0.160 0.340 0.824
Na3 0.002 0.998 0.500
Na4 0.660 0.840 0.176

Properties
For the calculated formation energy, the calculation gives -254 meV per atom.

Entry 11:
Here is crystalline KCa4Si8O28F at its relaxed geometry from the Materials Project database. Energies are from GGA-PBE.

a b c (Å): 9.428 9.428 15.595
angles (deg): 90.00 90.00 90.00
Element x y z (fractional)
O1 0.399 0.257 0.592
O2 0.988 0.699 0.541
O3 0.349 0.151 0.250
O4 0.488 0.801 0.041
O5 0.488 0.801 0.959
O6 0.301 0.988 0.459
O7 0.313 0.426 0.722
O8 0.699 0.012 0.541
O9 0.151 0.651 0.250
O10 0.257 0.601 0.408
O11 0.243 0.101 0.092
O12 0.151 0.651 0.750
O13 0.349 0.151 0.750
O14 0.301 0.988 0.541
O15 0.651 0.849 0.750
O16 0.601 0.743 0.592
O17 0.687 0.574 0.722
O18 0.813 0.074 0.222
O19 0.988 0.699 0.459
O20 0.757 0.899 0.908
O21 0.926 0.813 0.222
O22 0.651 0.849 0.250
O23 0.512 0.199 0.041
O24 0.243 0.101 0.908
O25 0.512 0.199 0.959
O26 0.849 0.349 0.750
O27 0.101 0.757 0.092
O28 0.801 0.512 0.959
O29 0.187 0.926 0.222
O30 0.199 0.488 0.041
O31 0.687 0.574 0.278
O32 0.743 0.399 0.408
O33 0.574 0.313 0.278
O34 0.813 0.074 0.778
O35 0.899 0.243 0.092
O36 0.012 0.301 0.541
O37 0.574 0.313 0.722
O38 0.257 0.601 0.592
O39 0.699 0.012 0.459
O40 0.199 0.488 0.959
O41 0.601 0.743 0.408
O42 0.426 0.687 0.722
O43 0.187 0.926 0.778
O44 0.101 0.757 0.908
O45 0.012 0.301 0.459
O46 0.399 0.257 0.408
O47 0.899 0.243 0.908
O48 0.849 0.349 0.250
O49 0.926 0.813 0.778
O50 0.757 0.899 0.092
O51 0.426 0.687 0.278
O52 0.801 0.512 0.041
O53 0.074 0.187 0.778
O54 0.313 0.426 0.278
O55 0.743 0.399 0.592
O56 0.074 0.187 0.222
Si1 0.285 0.592 0.306
Si2 0.785 0.908 0.194
Si3 0.592 0.715 0.306
Si4 0.715 0.408 0.694
Si5 0.215 0.092 0.806
Si6 0.408 0.285 0.694
Si7 0.092 0.785 0.194
Si8 0.215 0.092 0.194
Si9 0.592 0.715 0.694
Si10 0.908 0.215 0.194
Si11 0.408 0.285 0.306
Si12 0.715 0.408 0.306
Si13 0.785 0.908 0.806
Si14 0.285 0.592 0.694
Si15 0.908 0.215 0.806
Si16 0.092 0.785 0.806
Ca1 0.094 0.224 0.000
Ca2 0.594 0.276 0.500
Ca3 0.406 0.724 0.500
Ca4 0.724 0.594 0.500
Ca5 0.776 0.094 0.000
Ca6 0.906 0.776 0.000
Ca7 0.224 0.906 0.000
Ca8 0.276 0.406 0.500
K1 0.500 0.500 0.000
K2 0.000 0.000 0.500
F1 0.500 0.500 0.500
F2 0.000 0.000 0.000

Properties
The value obtained for the total magnetic moment is 16.68 μB/cell. For the calculated formation energy, the calculation gives -2385 meV per atom.

Entry 12:
Here is crystalline Cs4MgTi2Ag4S8 at its relaxed geometry from the Materials Project database. Energies are from GGA-PBE.

a b c (Å): 6.339 6.339 13.701
angles (deg): 90.00 90.00 84.22
Element x y z (fractional)
S1 0.296 0.704 0.863
S2 0.704 0.296 0.863
S3 0.704 0.296 0.137
S4 0.296 0.704 0.137
S5 0.705 0.705 0.348
S6 0.295 0.295 0.652
S7 0.705 0.705 0.652
S8 0.295 0.295 0.348
Cs1 0.232 0.768 0.500
Cs2 0.179 0.179 0.000
Cs3 0.768 0.232 0.500
Cs4 0.821 0.821 0.000
Ag1 0.000 0.500 0.750
Ag2 0.500 0.000 0.250
Ag3 0.000 0.500 0.250
Ag4 0.500 0.000 0.750
Mg1 0.500 0.500 0.000
Ti1 0.500 0.500 0.745
Ti2 0.500 0.500 0.255

Properties
The value obtained for the total magnetic moment is 0.00 μB/cell. For the calculated formation energy, the calculation gives -1045 meV per atom. The value obtained for the offset from the most stable computed form is 0.076 eV/atom.

Entry 13:
Here is crystalline AgSe at its relaxed geometry from the Materials Project database. Energies are from GGA-PBE.

a b c (Å): 4.227 4.227 4.227
angles (deg): 60.00 60.00 60.00
Element x y z (fractional)
Ag1 0.000 0.000 0.000
Se1 0.750 0.750 0.750

Properties
The value obtained for the total magnetic moment is 0.00 μB/cell. For the calculated formation energy, the calculation gives -148 meV per atom.

Entry 14:
Here is crystalline Te4Mo3WSe2S2 at its relaxed geometry from the Materials Project database. Energies are from GGA-PBE.

a b c (Å): 3.398 3.398 38.617
angles (deg): 90.00 90.00 120.00
Element x y z (fractional)
Te1 0.667 0.333 0.518
Te2 0.667 0.333 0.045
Te3 0.667 0.333 0.142
Te4 0.667 0.333 0.421
Mo1 0.333 0.667 0.094
Mo2 0.333 0.667 0.470
Mo3 0.667 0.333 0.282
W1 0.667 0.333 0.658
Se1 0.333 0.667 0.700
Se2 0.333 0.667 0.615
S1 0.333 0.667 0.321
S2 0.333 0.667 0.243

Properties
The value obtained for the total magnetic moment is 0.00 μB/cell. For the calculated formation energy, the calculation gives -521 meV per atom. The value obtained for the offset from the most stable computed form is 0.015 eV/atom.

Raw total energy in eV/atom, matching the order above: -6.03, -9.38, -9.25, -6.25, -5.05, -5.45, -9.23, -5.66, -4.69, -7.07, -6.86, -4.28, -3.08, -6.55